a | VASP calculation (GGA+U) on crystalline SrNdCoO4 at its relaxed geometry.

Calculated values
- theoretical density (kg/m³) = 6437

Unit cell a=5.402 b=12.513 c=5.416 alpha=90.00 beta=90.00 gamma=90.00
Space group Cmcm (No. 63)
Asymmetric unit:
1 Sr 0.000 0.106 0.250 x4
2 Nd 0.000 0.387 0.250 x4
3 Co 0.000 0.249 0.750 x4
4 O 0.000 0.088 0.750 x4
5 O 0.000 0.426 0.750 x4
6 O 0.250 0.250 0.000 x8

---

b | VASP calculation (GGA+U) on crystalline SrNdCoO4 at its relaxed geometry.

Calculated values
- theoretical density (kg/m³) = 6438

Unit cell a=3.823 b=3.823 c=12.523 alpha=90.00 beta=90.00 gamma=90.00
Space group I4mm (No. 107)
Asymmetric unit:
1 Sr 0.000 0.000 0.000 x2
2 Nd 0.000 0.000 0.718 x2
3 Co 0.000 0.000 0.359 x2
4 O 0.000 0.000 0.194 x2
5 O 0.000 0.000 0.531 x2
6 O 0.000 0.500 0.349 x4

---

Which one is the least stable? From the structures above, a.